DFT (PBE) results for an optimized crystal structure of Al2O3.

Its total energy is -37.24 eV/f.u. Its calculated volume is 9.5 A^3/atom.

It has space group C2/c (No. 15), with a = 8.004 Å, b = 7.997 Å, c = 12.421 Å, α = 90.00°, β = 107.66° and γ = 90.00°. The asymmetric unit holds Al at (0.000, 0.000, 0.000), Al at (0.000, 0.126, 0.250), Al at (0.089, 0.258, 0.660), Al at (0.165, 0.488, 0.342), Al at (0.172, 0.365, 0.082), O at (0.004, 0.238, 0.995), O at (0.079, 0.497, 0.669), O at (0.090, 0.011, 0.664), O at (0.150, 0.265, 0.825), O at (0.173, 0.259, 0.323) and O at (0.241, 0.009, 0.005).

DFT (PBE) results for an optimized crystal structure of Sr2Mg.

Its total energy is -4.69 eV/f.u. The total magnetization is 0.00 μB per cell. Its calculated volume is 43.5 A^3/atom.

It has space group R32 (No. 155, hexagonal axes), with a = 6.8775 Å, b = 6.8775 Å, c = 19.1063 Å, α = 90.00°, β = 90.00° and γ = 120.00°. The asymmetric unit holds Sr at (0.0000, 0.0000, 0.0000), Sr at (0.0000, 0.6725, 0.5000) and Mg at (0.0000, 0.0000, 0.3336).

DFT (PBE) results for an optimized crystal structure of Cs3Sb2I9.

The distance to the lowest polymorph of the same formula is 0.000 eV per atom. Its calculated volume is 49.4 A^3/atom.

It has space group P6_3/mmc (No. 194), with a = 8.5724 Å, b = 8.5724 Å, c = 21.7309 Å, α = 90.00°, β = 90.00° and γ = 120.00°. The asymmetric unit holds Cs at (0.0000, 0.0000, 0.2500), Cs at (0.3333, 0.6667, 0.0772), Sb at (0.3333, 0.6667, 0.6569), I at (0.0030, 0.5015, 0.2500) and I at (0.1678, 0.3357, 0.5837).

Q: What is the calculated volume in the third record?
A: 49.4 A^3/atom

Q: Which of these has the lowest calculated volume?
A: Al2O3

Repeat the second record exactly.
DFT (PBE) results for an optimized crystal structure of Sr2Mg.

Its total energy is -4.69 eV/f.u. The total magnetization is 0.00 μB per cell. Its calculated volume is 43.5 A^3/atom.

It has space group R32 (No. 155, hexagonal axes), with a = 6.8775 Å, b = 6.8775 Å, c = 19.1063 Å, α = 90.00°, β = 90.00° and γ = 120.00°. The asymmetric unit holds Sr at (0.0000, 0.0000, 0.0000), Sr at (0.0000, 0.6725, 0.5000) and Mg at (0.0000, 0.0000, 0.3336).